Arrangement P

VASP calculation (PBE) on a relaxed BaYI5 crystal.

Summary:
The space-group type is P2_12_12_1 (19).

Cell and atoms, written as CIF:
```
data_BaYI5
_chemical_formula_sum 'Ba4 Y4 I20'
_space_group_name_H-M_alt 'P 1'
_space_group_IT_number 1
_space_group_name_Hall 'P 1'
_cell_length_a 8.0576
_cell_length_b 8.6148
_cell_length_c 18.9144
_cell_angle_alpha 90.00
_cell_angle_beta 90.00
_cell_angle_gamma 90.00
loop_
_atom_site_label
_atom_site_fract_x
_atom_site_fract_y
_atom_site_fract_z
_atom_site_occupancy
I1 0.4808 0.8583 0.5061 1
I2 0.5421 0.3937 0.5226 1
I3 0.3571 0.0883 0.1846 1
I4 0.0421 0.1063 0.4774 1
I5 0.8445 0.8849 0.8400 1
I6 0.0993 0.4051 0.3069 1
I7 0.9808 0.6417 0.4939 1
I8 0.4007 0.5949 0.8069 1
I9 0.5192 0.3583 0.9939 1
I10 0.0192 0.1417 0.0061 1
I11 0.9007 0.9051 0.1931 1
I12 0.9579 0.6063 0.0226 1
I13 0.1555 0.3849 0.6600 1
I14 0.1429 0.9117 0.6846 1
I15 0.4579 0.8937 0.9774 1
I16 0.5993 0.0949 0.6931 1
I17 0.8571 0.4117 0.8154 1
I18 0.6555 0.1151 0.3400 1
I19 0.3445 0.6151 0.1600 1
I20 0.6429 0.5883 0.3154 1
Y1 0.6720 0.6269 0.9149 1
Y2 0.1720 0.8731 0.0851 1
Y3 0.8280 0.3731 0.4149 1
Y4 0.3280 0.1269 0.5851 1
Ba1 0.2329 0.2073 0.8336 1
Ba2 0.7671 0.7073 0.6664 1
Ba3 0.2671 0.7927 0.3336 1
Ba4 0.7329 0.2927 0.1664 1
```


Arrangement Q

VASP calculation (PBE) on a relaxed BaYI5 crystal.

Summary:
The magnetic moment is 0.00 μB/f.u. The space-group type is C2/c (15).

Cell and atoms, written as CIF:
```
data_BaYI5
_chemical_formula_sum 'Ba2 Y2 I10'
_space_group_name_H-M_alt 'P 1'
_space_group_IT_number 1
_space_group_name_Hall 'P 1'
_cell_length_a 8.6207
_cell_length_b 8.6207
_cell_length_c 11.8919
_cell_angle_alpha 69.63
_cell_angle_beta 69.63
_cell_angle_gamma 70.38
loop_
_atom_site_label
_atom_site_fract_x
_atom_site_fract_y
_atom_site_fract_z
_atom_site_occupancy
I1 0.6832 0.2895 0.9705 1
I2 0.3168 0.7105 0.0295 1
I3 0.7876 0.7459 0.1217 1
I4 0.0792 0.9208 0.7500 1
I5 0.2895 0.6832 0.4705 1
I6 0.9208 0.0792 0.2500 1
I7 0.7459 0.7876 0.6217 1
I8 0.7105 0.3168 0.5295 1
I9 0.2541 0.2124 0.3783 1
I10 0.2124 0.2541 0.8783 1
Ba1 0.4413 0.5587 0.7500 1
Ba2 0.5587 0.4413 0.2500 1
Y1 0.0000 0.0000 0.5000 1
Y2 0.0000 0.0000 0.0000 1
```


Which of them is the least stable? Correct choice: arrangement P.